<w>
Material: Mg5AlH21O17
Method: DFT, PBE
State: relaxed

POSCAR file:
```
Mg5AlH21O17
1.0
2.9717 0.0635 7.4289
1.3831 2.7336 7.4712
-0.6968 0.3510 48.3118
Mg Al H O
5 1 21 17
direct
0.0530 0.9918 0.9927
0.0514 0.9775 0.1596
0.0386 0.9919 0.4956
0.0507 0.9804 0.3282
0.0373 0.0069 0.6585
0.0386 0.0063 0.8253
0.4714 0.3823 0.0663
0.1778 0.9523 0.2372
0.6402 0.6066 0.0811
0.5463 0.3707 0.2212
0.1204 0.0218 0.4030
0.6669 0.4646 0.2684
0.5264 0.3300 0.4000
0.9916 0.1074 0.5676
0.7831 0.8397 0.3030
0.6453 0.5044 0.4331
0.4708 0.3653 0.5705
0.7131 0.3777 0.7355
0.6992 0.8975 0.4824
0.6156 0.5579 0.5946
0.3669 0.4279 0.7418
0.0161 0.5134 0.8290
0.5093 0.0811 0.6530
0.5446 0.6290 0.7619
0.5378 0.4072 0.8843
0.6967 0.5970 0.9096
0.9872 0.0200 0.9146
0.4504 0.3687 0.0518
0.6839 0.6352 0.0896
0.4525 0.3575 0.2186
0.8336 0.1198 0.2573
0.6595 0.6184 0.2634
0.4405 0.3535 0.3901
0.7709 0.1777 0.4268
0.6472 0.6236 0.4330
0.4118 0.3513 0.5619
0.6338 0.3354 0.5885
0.6312 0.6201 0.6023
0.3767 0.3382 0.7347
0.4013 0.6823 0.7402
0.6124 0.6211 0.7732
0.4599 0.3829 0.8804
0.7642 0.3805 0.8911
0.7004 0.6620 0.9189
```

Output
space-group type = P1

<x>
Material: Mg5AlH21O17
Method: DFT, PBE
State: relaxed

POSCAR file:
```
Mg5AlH21O17
1.0
3.1152 0.0000 0.0000
-1.5229 7.8857 0.0000
-0.2580 -1.7863 15.9949
Mg Al H O
5 1 21 17
direct
0.9999 0.0059 0.9991
0.4856 0.9972 0.1670
0.4965 0.0041 0.4994
0.9842 0.9998 0.3342
0.0039 0.9943 0.6584
0.4998 0.9942 0.8283
0.6254 0.2543 0.0810
0.7825 0.5086 0.2075
0.8754 0.7436 0.1012
0.1755 0.2523 0.2350
0.3058 0.5046 0.3829
0.4228 0.7429 0.2659
0.6812 0.2553 0.4035
0.6797 0.5031 0.5407
0.7190 0.4967 0.3000
0.9264 0.7481 0.4357
0.1742 0.2619 0.5655
0.1188 0.4989 0.6933
0.1539 0.5002 0.4735
0.4167 0.7372 0.5921
0.6462 0.2428 0.7400
0.6646 0.5011 0.8554
0.6619 0.5026 0.6526
0.8890 0.7440 0.7557
0.1566 0.2499 0.8875
0.4347 0.7574 0.9153
0.7167 0.5026 0.9510
0.5638 0.1376 0.0554
0.9134 0.8643 0.0964
0.0548 0.1319 0.2225
0.5505 0.4971 0.2475
0.4093 0.8623 0.2663
0.5547 0.1351 0.3941
0.0351 0.5002 0.4134
0.9243 0.8685 0.4381
0.0695 0.1385 0.5652
0.4004 0.5028 0.5669
0.4381 0.8611 0.6073
0.5587 0.1190 0.7379
0.8232 0.5073 0.7112
0.9380 0.8653 0.7797
0.0699 0.1258 0.8839
0.4982 0.4997 0.9066
0.4463 0.8800 0.9253
```

Output
space-group type = P1

Which of them is least stable? Easy: <x>.

<w>
Material: AlH3O3
Method: DFT, PBE
State: relaxed

POSCAR file:
```
AlH3O3
1.0
9.4659 0.0000 0.0000
0.0000 5.2309 0.0000
0.0000 0.2166 8.6648
Al H O
8 24 24
direct
0.7493 0.0129 0.1719
0.7520 0.4950 0.6720
0.2523 0.5053 0.8315
0.2478 0.9860 0.3330
0.7522 0.9860 0.8330
0.7477 0.5053 0.3315
0.2480 0.4950 0.1720
0.2507 0.0129 0.6719
0.6202 0.8015 0.4985
0.8703 0.6904 0.0273
0.3798 0.2997 0.4944
0.1211 0.1959 0.0056
0.8789 0.1959 0.5056
0.6202 0.2997 0.9944
0.1297 0.6904 0.5273
0.3798 0.8015 0.9985
0.5414 0.7200 0.2134
0.9588 0.7863 0.7098
0.4607 0.2129 0.7868
0.0947 0.3449 0.4095
0.9053 0.3449 0.9095
0.5393 0.2129 0.2868
0.0412 0.7863 0.2098
0.4586 0.7200 0.7134
0.6079 0.1421 0.5845
0.9562 0.3128 0.2018
0.4116 0.6347 0.4105
0.0862 0.8611 0.9077
0.9138 0.8611 0.4077
0.5884 0.6347 0.9105
0.0438 0.3128 0.7018
0.3921 0.1421 0.0845
0.6367 0.6182 0.5036
0.8629 0.8740 0.0071
0.3611 0.1174 0.4978
0.1383 0.3790 0.0000
0.8617 0.3790 0.5000
0.6389 0.1174 0.9978
0.1371 0.8740 0.5071
0.3633 0.6182 0.0036
0.6415 0.7013 0.1864
0.8578 0.8018 0.6851
0.3610 0.1966 0.8174
0.1359 0.2910 0.3125
0.8641 0.2910 0.8125
0.6390 0.1966 0.3174
0.1422 0.8018 0.1851
0.3585 0.7013 0.6864
0.6423 0.1875 0.6862
0.8552 0.3285 0.1782
0.3597 0.6840 0.3173
0.1389 0.8140 0.8160
0.8611 0.8140 0.3160
0.6403 0.6840 0.8173
0.1448 0.3285 0.6782
0.3577 0.1875 0.1862
```

Output
space-group type = Pc

<x>
Material: AlH3O3
Method: DFT, PBE
State: relaxed

POSCAR file:
```
AlH3O3
1.0
5.1725 0.0000 0.0000
0.9566 6.2500 0.0000
0.5839 0.6667 6.6950
Al H O
4 12 12
direct
0.5392 0.1652 0.8332
0.4916 0.8308 0.1727
0.0226 0.3280 0.6688
0.0080 0.6692 0.3374
0.1921 0.9510 0.8127
0.8336 0.0488 0.1953
0.6502 0.4663 0.3268
0.3831 0.5316 0.6830
0.2761 0.2888 0.3196
0.7733 0.7102 0.6924
0.8650 0.8335 0.9398
0.1710 0.1710 0.0783
0.7563 0.0920 0.4942
0.2757 0.9028 0.5125
0.2459 0.5988 0.9881
0.7819 0.3991 0.0158
0.2576 0.0605 0.7159
0.7727 0.9360 0.2908
0.7209 0.5638 0.2203
0.3093 0.4329 0.7870
0.1730 0.3879 0.4086
0.8560 0.6089 0.5976
0.6795 0.8687 0.9127
0.3582 0.1275 0.0943
0.7459 0.1938 0.5967
0.2837 0.8033 0.4084
0.2035 0.7154 0.0786
0.8263 0.2822 0.9261
```

Output
maximum piezoelectric response = 4.9 C/m²
space-group type = P1

<y>
Material: AlH3O3
Method: DFT, PBE
State: relaxed

POSCAR file:
```
AlH3O3
1.0
-3.3704 8.0828 -0.3095
-3.8360 -1.7119 -2.9333
-8.9348 -3.5388 4.8814
Al H O
8 24 24
direct
0.8322 0.0351 0.4965
0.3345 0.4712 0.5036
0.6678 0.0351 0.9965
0.1655 0.4712 0.0036
0.3322 0.9649 0.0035
0.6655 0.5288 0.4964
0.8345 0.5288 0.9964
0.1678 0.9649 0.5035
0.9166 0.8287 0.1142
0.7293 0.4668 0.2887
0.4623 0.4341 0.8739
0.0961 0.2101 0.6456
0.2293 0.5332 0.2113
0.4942 0.7534 0.2930
0.5377 0.5659 0.1261
0.7935 0.1124 0.7052
0.2707 0.5332 0.7113
0.0377 0.4341 0.3739
0.0834 0.1713 0.8858
0.9039 0.7899 0.3544
0.9623 0.5659 0.6261
0.4039 0.2101 0.1456
0.2065 0.8876 0.2948
0.5961 0.7899 0.8544
0.5058 0.2466 0.7070
0.9942 0.2466 0.2070
0.0058 0.7534 0.7930
0.7707 0.4668 0.7887
0.5834 0.8287 0.6142
0.2935 0.8876 0.7948
0.4166 0.1713 0.3858
0.7065 0.1124 0.2052
0.8210 0.7440 0.1026
0.9887 0.7650 0.6101
0.0092 0.7349 0.8882
0.9908 0.2651 0.1118
0.6923 0.8378 0.8840
0.5092 0.2651 0.6118
0.8046 0.3357 0.8853
0.1923 0.1622 0.6160
0.1954 0.6643 0.1147
0.4887 0.2350 0.8899
0.1790 0.2560 0.8974
0.5113 0.7650 0.1101
0.3210 0.2560 0.3974
0.6790 0.7440 0.6026
0.3077 0.1622 0.1160
0.3046 0.6643 0.6147
0.8077 0.8378 0.3840
0.6954 0.3357 0.3853
0.6744 0.2435 0.1074
0.1744 0.7565 0.3926
0.0113 0.2350 0.3899
0.8256 0.2435 0.6074
0.4908 0.7349 0.3882
0.3256 0.7565 0.8926
```

Output
space-group type = P2_1/c

Which of them is least stable? Easy: <w>.